No. 1
The following is a r²SCAN calculation of RbMnBr3 after structural relaxation, from the Materials Project.

## Properties
Its spin magnetization is 1.00 μB per atom. For the formation energy, the calculation gives -7.977 eV per formula unit. The value obtained for the total DFT energy (no corrections) is -15.274 eV per atom.

Geometry as CIF:
```
data_RbMnBr3
_space_group_name_H-M_alt 'P 1'
_space_group_IT_number 1
_cell_length_a 7.5078
_cell_length_b 7.5078
_cell_length_c 6.4795
_cell_angle_alpha 90.00
_cell_angle_beta 90.00
_cell_angle_gamma 120.00
loop_
_space_group_symop_operation_xyz
'x,y,z'
loop_
_atom_site_label
_atom_site_fract_x
_atom_site_fract_y
_atom_site_fract_z
Rb1 0.3333 0.6667 0.2500
Rb2 0.6667 0.3333 0.7500
Mn1 0.0000 0.0000 0.0000
Mn2 0.0000 0.0000 0.5000
Br1 0.1645 0.3289 0.7500
Br2 0.1645 0.8355 0.7500
Br3 0.3289 0.1645 0.2500
Br4 0.6711 0.8355 0.7500
Br5 0.8355 0.1645 0.2500
Br6 0.8355 0.6711 0.2500
```

***

No. 2
The following is a r²SCAN calculation of MoBr3 after structural relaxation, from the Materials Project.

## Properties
Its spin magnetization is 0.50 μB per atom. For the formation energy, the calculation gives -3.067 eV per formula unit. The value obtained for the total DFT energy (no corrections) is -17.229 eV per atom.

Geometry as CIF:
```
data_MoBr3
_space_group_name_H-M_alt 'P 1'
_space_group_IT_number 1
_cell_length_a 6.0832
_cell_length_b 11.8597
_cell_length_c 6.8460
_cell_angle_alpha 90.00
_cell_angle_beta 90.00
_cell_angle_gamma 90.00
loop_
_space_group_symop_operation_xyz
'x,y,z'
loop_
_atom_site_label
_atom_site_fract_x
_atom_site_fract_y
_atom_site_fract_z
Mo1 0.0226 0.2500 0.2457
Mo2 0.4774 0.2500 0.2457
Mo3 0.5226 0.7500 0.7543
Mo4 0.9774 0.7500 0.7543
Br1 0.2500 0.0930 0.4031
Br2 0.2500 0.2500 0.9315
Br3 0.2500 0.4070 0.4031
Br4 0.2500 0.6012 0.9021
Br5 0.2500 0.7500 0.4569
Br6 0.2500 0.8988 0.9021
Br7 0.7500 0.1012 0.0979
Br8 0.7500 0.2500 0.5431
Br9 0.7500 0.3988 0.0979
Br10 0.7500 0.5930 0.5969
Br11 0.7500 0.7500 0.0685
Br12 0.7500 0.9070 0.5969
```

***

No. 3
The following is a r²SCAN calculation of MoBr2 after structural relaxation, from the Materials Project.

## Properties
Its spin magnetization is 0.00 μB per atom. For the formation energy, the calculation gives -2.441 eV per formula unit. The value obtained for the total DFT energy (no corrections) is -18.343 eV per atom.

Geometry as CIF:
```
data_MoBr2
_space_group_name_H-M_alt 'P 1'
_space_group_IT_number 1
_cell_length_a 9.7380
_cell_length_b 9.7380
_cell_length_c 11.9637
_cell_angle_alpha 90.00
_cell_angle_beta 90.00
_cell_angle_gamma 75.72
loop_
_space_group_symop_operation_xyz
'x,y,z'
loop_
_atom_site_label
_atom_site_fract_x
_atom_site_fract_y
_atom_site_fract_z
Mo1 0.0681 0.9319 0.8608
Mo2 0.1209 0.1209 0.0000
Mo3 0.1393 0.8607 0.0679
Mo4 0.3607 0.6393 0.5679
Mo5 0.3791 0.3791 0.5000
Mo6 0.4319 0.5681 0.3608
Mo7 0.5681 0.4319 0.6392
Mo8 0.6209 0.6209 0.5000
Mo9 0.6393 0.3607 0.4321
Mo10 0.8607 0.1393 0.9321
Mo11 0.8791 0.8791 0.0000
Mo12 0.9319 0.0681 0.1392
Br1 0.0482 0.1916 0.7925
Br2 0.0876 0.6723 0.9283
Br3 0.1531 0.8469 0.6530
Br4 0.1723 0.5876 0.4283
Br5 0.1916 0.0482 0.2075
Br6 0.2125 0.2125 0.5000
Br7 0.2875 0.2875 0.0000
Br8 0.3084 0.4518 0.7075
Br9 0.3277 0.9124 0.9283
Br10 0.3469 0.6531 0.1530
Br11 0.4124 0.8277 0.4283
Br12 0.4518 0.3084 0.2925
Br13 0.5482 0.6916 0.7075
Br14 0.5876 0.1723 0.5717
Br15 0.6531 0.3469 0.8470
Br16 0.6723 0.0876 0.0717
Br17 0.6916 0.5482 0.2925
Br18 0.7125 0.7125 0.0000
Br19 0.7875 0.7875 0.5000
Br20 0.8084 0.9518 0.7925
Br21 0.8277 0.4124 0.5717
Br22 0.8469 0.1531 0.3470
Br23 0.9124 0.3277 0.0717
Br24 0.9518 0.8084 0.2075
```

***

No. 4
The following is a r²SCAN calculation of NaMo6Br13 after structural relaxation, from the Materials Project.

## Properties
Its spin magnetization is 0.00 μB per atom. For the formation energy, the calculation gives -18.156 eV per formula unit. The value obtained for the total DFT energy (no corrections) is -17.526 eV per atom.

Geometry as CIF:
```
data_NaMo6Br13
_space_group_name_H-M_alt 'P 1'
_space_group_IT_number 1
_cell_length_a 9.4630
_cell_length_b 9.5965
_cell_length_c 14.7692
_cell_angle_alpha 97.18
_cell_angle_beta 101.15
_cell_angle_gamma 114.86
loop_
_space_group_symop_operation_xyz
'x,y,z'
loop_
_atom_site_label
_atom_site_fract_x
_atom_site_fract_y
_atom_site_fract_z
Na1 0.0007 0.2560 0.2287
Na2 0.9993 0.7440 0.7713
Mo1 0.3073 0.4969 0.9395
Mo2 0.3185 0.8847 0.5389
Mo3 0.3728 0.0439 0.4067
Mo4 0.3979 0.2810 0.9758
Mo5 0.4478 0.5125 0.1150
Mo6 0.4593 0.8185 0.4150
Mo7 0.5407 0.1815 0.5850
Mo8 0.5522 0.4875 0.8850
Mo9 0.6021 0.7190 0.0242
Mo10 0.6272 0.9561 0.5933
Mo11 0.6815 0.1153 0.4611
Mo12 0.6927 0.5031 0.0605
Br1 0.0384 0.4978 0.8583
Br2 0.0604 0.7181 0.5905
Br3 0.1530 0.7484 0.3640
Br4 0.1538 0.2876 0.0303
Br5 0.1905 0.0883 0.2679
Br6 0.2343 0.1132 0.5306
Br7 0.2569 0.2673 0.8009
Br8 0.2569 0.9733 0.9364
Br9 0.3533 0.7212 0.0754
Br10 0.3835 0.5429 0.2890
Br11 0.4066 0.6594 0.5470
Br12 0.4631 0.7027 0.8486
Br13 0.4815 0.0198 0.7146
Br14 0.5185 0.9802 0.2854
Br15 0.5369 0.2973 0.1514
Br16 0.5934 0.3406 0.4530
Br17 0.6165 0.4571 0.7110
Br18 0.6467 0.2788 0.9246
Br19 0.7431 0.0267 0.0636
Br20 0.7431 0.7327 0.1991
Br21 0.7657 0.8868 0.4694
Br22 0.8095 0.9117 0.7321
Br23 0.8462 0.7124 0.9697
Br24 0.8470 0.2516 0.6360
Br25 0.9396 0.2819 0.4095
Br26 0.9616 0.5022 0.1417
```

***

No. 5
The following is a r²SCAN calculation of MoSBr after structural relaxation, from the Materials Project.

## Properties
Its spin magnetization is 0.00 μB per atom. For the formation energy, the calculation gives -2.751 eV per formula unit. The value obtained for the total DFT energy (no corrections) is -16.705 eV per atom.

Geometry as CIF:
```
data_MoSBr
_space_group_name_H-M_alt 'P 1'
_space_group_IT_number 1
_cell_length_a 7.0929
_cell_length_b 7.0929
_cell_length_c 7.0929
_cell_angle_alpha 60.00
_cell_angle_beta 60.00
_cell_angle_gamma 60.00
loop_
_space_group_symop_operation_xyz
'x,y,z'
loop_
_atom_site_label
_atom_site_fract_x
_atom_site_fract_y
_atom_site_fract_z
Mo1 0.4024 0.4024 0.4024
Mo2 0.4024 0.4024 0.7927
Mo3 0.4024 0.7927 0.4024
Mo4 0.7927 0.4024 0.4024
S1 0.1073 0.6309 0.6309
S2 0.6309 0.1073 0.6309
S3 0.6309 0.6309 0.1073
S4 0.6309 0.6309 0.6309
Br1 0.1282 0.1282 0.1282
Br2 0.1282 0.1282 0.6154
Br3 0.1282 0.6154 0.1282
Br4 0.6154 0.1282 0.1282
```

***

No. 6
The following is a r²SCAN calculation of Mo2SBr2 after structural relaxation, from the Materials Project.

## Properties
Its spin magnetization is 0.00 μB per atom. For the formation energy, the calculation gives -4.139 eV per formula unit. The value obtained for the total DFT energy (no corrections) is -18.167 eV per atom.

Geometry as CIF:
```
data_Mo2SBr2
_space_group_name_H-M_alt 'P 1'
_space_group_IT_number 1
_cell_length_a 9.6046
_cell_length_b 9.6046
_cell_length_c 12.0389
_cell_angle_alpha 90.00
_cell_angle_beta 90.00
_cell_angle_gamma 40.66
loop_
_space_group_symop_operation_xyz
'x,y,z'
loop_
_atom_site_label
_atom_site_fract_x
_atom_site_fract_y
_atom_site_fract_z
Mo1 0.2464 0.7536 0.5614
Mo2 0.2464 0.7536 0.9386
Mo3 0.3422 0.5114 0.1005
Mo4 0.3422 0.5114 0.3995
Mo5 0.4886 0.6578 0.1005
Mo6 0.4886 0.6578 0.3995
Mo7 0.5114 0.3422 0.6005
Mo8 0.5114 0.3422 0.8995
Mo9 0.6578 0.4886 0.6005
Mo10 0.6578 0.4886 0.8995
Mo11 0.7536 0.2464 0.0614
Mo12 0.7536 0.2464 0.4386
S1 0.1176 0.8824 0.1267
S2 0.1176 0.8824 0.3733
S3 0.4139 0.5861 0.7500
S4 0.5861 0.4139 0.2500
S5 0.8824 0.1176 0.6267
S6 0.8824 0.1176 0.8733
Br1 0.0999 0.6071 0.5648
Br2 0.0999 0.6071 0.9352
Br3 0.1245 0.5261 0.2500
Br4 0.3929 0.9001 0.5648
Br5 0.3929 0.9001 0.9352
Br6 0.4739 0.8755 0.2500
Br7 0.5261 0.1245 0.7500
Br8 0.6071 0.0999 0.0648
Br9 0.6071 0.0999 0.4352
Br10 0.8755 0.4739 0.7500
Br11 0.9001 0.3929 0.0648
Br12 0.9001 0.3929 0.4352
```